Density functional theory data (PBE) for an optimized crystal structure of MgSe2O5.

- Formation energy: -1.7612 eV/atom
- Electronic total energy: -175.95 eV/cell
- Density: 3.87 Mg/m³

Lattice parameters (Å, degrees): 6.938 10.542 6.152 90.00 90.00 90.00
Fractional coordinates of all 32 atoms:
Mg (0.000, 0.061, 0.250)
Mg (0.000, 0.939, 0.750)
Mg (0.500, 0.439, 0.750)
Mg (0.500, 0.561, 0.250)
Se (0.136, 0.346, 0.034)
Se (0.136, 0.654, 0.534)
Se (0.364, 0.154, 0.534)
Se (0.364, 0.846, 0.034)
Se (0.636, 0.154, 0.966)
Se (0.636, 0.846, 0.466)
Se (0.864, 0.346, 0.466)
Se (0.864, 0.654, 0.966)
O (0.000, 0.433, 0.250)
O (0.000, 0.567, 0.750)
O (0.154, 0.067, 0.549)
O (0.154, 0.933, 0.049)
O (0.194, 0.209, 0.164)
O (0.194, 0.791, 0.664)
O (0.306, 0.291, 0.664)
O (0.306, 0.709, 0.164)
O (0.346, 0.433, 0.049)
O (0.346, 0.567, 0.549)
O (0.500, 0.067, 0.750)
O (0.500, 0.933, 0.250)
O (0.654, 0.433, 0.451)
O (0.654, 0.567, 0.951)
O (0.694, 0.291, 0.836)
O (0.694, 0.709, 0.336)
O (0.806, 0.209, 0.336)
O (0.806, 0.791, 0.836)
O (0.846, 0.067, 0.951)
O (0.846, 0.933, 0.451)